[1]
# BaTl2O4

Crystalline BaTl2O4 at its relaxed geometry (r2SCAN, the Materials Project).

```
28
Lattice="3.489 0.000 0.000 0.000 10.398 0.000 0.000 0.000 12.060" Properties=species:S:1:pos:R:3 pbc="T T T"
Tl 2.617 6.014 1.302
Tl 0.872 9.583 7.332
Tl 0.872 9.626 1.306
Tl 0.872 4.427 4.724
Tl 2.617 0.772 10.754
Tl 2.617 5.971 7.336
Tl 0.872 4.384 10.758
Tl 2.617 0.815 4.728
Ba 2.617 2.552 7.852
Ba 0.872 2.647 1.822
Ba 2.617 7.751 10.238
Ba 0.872 7.846 4.208
O 2.617 0.798 0.903
O 2.617 5.997 5.127
O 2.617 8.239 1.976
O 0.872 6.438 11.860
O 0.872 4.401 6.933
O 2.617 9.159 5.831
O 0.872 9.600 11.156
O 0.872 7.357 8.006
O 2.617 3.960 0.199
O 0.872 1.239 6.229
O 2.617 4.983 9.417
O 0.872 2.158 10.084
O 2.617 3.041 4.054
O 0.872 5.415 2.643
O 0.872 0.216 3.387
O 2.617 10.182 8.673
```

space-group type = Pnma (62)
formation energy from the elements = -1.428 eV/atom


[2]
# NaNbO3

Crystalline NaNbO3 at its relaxed geometry (r2SCAN, the Materials Project).

```
20
Lattice="-2.468 4.443 2.007 -4.032 -3.190 2.104 4.108 -0.757 6.726" Properties=species:S:1:pos:R:3 pbc="T T T"
Nb -1.901 -3.543 5.547
Nb -3.231 0.605 2.166
Nb -1.105 0.249 5.487
Nb -2.436 4.397 2.106
Na -1.443 2.142 8.249
Na -0.828 -1.668 2.785
Na -4.042 -1.108 4.810
Na 1.770 1.582 6.224
O -1.389 0.655 1.243
O 0.261 0.219 4.093
O 0.085 -0.231 6.875
O -2.774 0.167 6.694
O -3.179 -1.348 2.110
O -1.089 -3.343 7.242
O -1.577 -1.697 5.000
O -2.510 0.733 3.908
O -0.980 -0.031 9.483
O -1.336 3.845 3.541
O -0.985 2.170 5.826
O 0.857 1.885 8.576
```

space-group type = Pna2_1 (33)
formation energy from the elements = -2.641 eV/atom


[3]
# LiIn2Ir

Crystalline LiIn2Ir at its relaxed geometry (r2SCAN, the Materials Project).

```
4
Lattice="0.406 -3.236 3.223 -2.647 -3.740 -0.160 1.838 -4.067 -1.053" Properties=species:S:1:pos:R:3 pbc="T T T"
Li -0.202 -5.522 1.005
Ir 0.000 0.000 0.000
In -0.302 -8.282 1.507
In -0.101 -2.761 0.502
```

space-group type = Fm-3m (225)
formation energy from the elements = -0.419 eV/atom


[4]
# HoOs2

Crystalline HoOs2 at its relaxed geometry (r2SCAN, the Materials Project).

```
12
Lattice="-0.904 2.914 4.284 0.966 -5.148 0.477 8.702 1.696 0.683" Properties=species:S:1:pos:R:3 pbc="T T T"
Ho 4.642 1.186 3.402
Ho 7.849 1.811 3.654
Ho 0.915 -2.349 1.791
Ho 4.121 -1.724 2.043
Os 8.701 1.696 0.683
Os 7.172 -2.495 1.641
Os 4.351 0.848 0.342
Os 6.702 0.007 1.410
Os 2.061 -0.546 4.035
Os 1.591 1.957 3.803
Os 2.031 0.540 1.721
Os 6.732 -1.079 3.724
```

space-group type = P6_3/mmc (194)
formation energy from the elements = -0.410 eV/atom


[5]
# Ba4GeAs4

Crystalline Ba4GeAs4 at its relaxed geometry (r2SCAN, the Materials Project).

```
72
Lattice="13.519 0.000 0.000 0.000 13.519 0.000 0.000 0.000 13.519" Properties=species:S:1:pos:R:3 pbc="T T T"
As 4.733 12.101 5.215
As 8.192 5.327 8.192
As 5.215 4.733 12.101
As 5.215 8.786 1.418
As 8.786 12.101 8.304
As 11.974 8.177 2.026
As 5.342 11.492 11.974
As 5.342 2.026 1.545
As 8.304 4.733 1.418
As 4.733 1.418 8.304
As 8.177 2.026 11.974
As 2.026 1.545 5.342
As 8.192 8.192 5.327
As 1.545 5.342 2.026
As 11.492 11.974 5.342
As 8.304 8.786 12.101
As 11.492 1.545 8.177
As 12.087 12.087 12.087
As 1.432 12.087 1.432
As 11.974 5.342 11.492
As 8.177 11.492 1.545
As 1.418 5.215 8.786
As 12.087 1.432 1.432
As 8.786 1.418 5.215
As 12.101 8.304 8.786
As 12.101 5.215 4.733
As 5.327 5.327 5.327
As 5.327 8.192 8.192
As 1.418 8.304 4.733
As 1.432 1.432 12.087
As 1.545 8.177 11.492
As 2.026 11.974 8.177
Ge 3.380 0.000 6.759
Ge 10.139 0.000 6.759
Ge 6.759 10.139 0.000
Ge 0.000 0.000 0.000
Ge 6.759 6.759 6.759
Ge 6.759 3.380 0.000
Ge 0.000 6.759 3.380
Ge 0.000 6.759 10.139
Ba 11.578 11.578 1.941
Ba 1.775 8.701 1.312
Ba 11.744 4.818 1.312
Ba 1.312 11.744 4.818
Ba 8.535 8.072 1.941
Ba 11.577 4.984 8.072
Ba 1.312 1.775 8.701
Ba 8.072 1.941 8.535
Ba 4.818 8.700 4.818
Ba 1.775 4.818 12.206
Ba 1.941 4.984 5.447
Ba 12.206 11.744 8.701
Ba 1.941 11.578 11.578
Ba 8.701 1.312 1.775
Ba 8.072 11.577 4.984
Ba 8.700 8.700 8.700
Ba 12.206 1.775 4.818
Ba 1.941 8.535 8.072
Ba 5.447 11.577 8.535
Ba 8.535 5.447 11.577
Ba 11.744 8.701 12.206
Ba 4.984 8.072 11.577
Ba 4.818 1.312 11.744
Ba 11.577 8.535 5.447
Ba 11.578 1.941 11.578
Ba 4.818 4.818 8.700
Ba 4.818 12.206 1.775
Ba 8.701 12.206 11.744
Ba 4.984 5.447 1.941
Ba 5.447 1.941 4.984
Ba 8.700 4.818 4.818
Ba 1.941 1.941 1.941
```

space-group type = P-43n (218)
formation energy from the elements = -1.142 eV/atom


[6]
# UCu2P2

Crystalline UCu2P2 at its relaxed geometry (r2SCAN, the Materials Project).

```
5
Lattice="3.889 0.000 0.000 -1.945 3.368 0.000 0.000 0.000 6.421" Properties=species:S:1:pos:R:3 pbc="T T T"
P 0.000 2.246 1.669
P 1.945 1.123 4.752
Cu 1.945 1.123 2.380
Cu 0.000 2.246 4.041
U 0.000 0.000 0.000
```

space-group type = P-3m1 (164)
formation energy from the elements = -0.728 eV/atom